A:
This record from the Materials Project database describes a relaxed structure of Li4Cr3Fe3O12. The functional is PBE+U.

Results
Space-group type: P-1, No. 2
Total magnetic moment, μB per atom: 1.000

```
22
Lattice="5.151 0.000 0.000 1.721 5.778 0.000 1.761 1.087 7.564" Properties=species:S:1:pos:R:3 pbc="T T T"
Li 0.894 1.330 2.546
Li 3.399 2.119 1.263
Li 5.235 4.746 6.301
Li 7.739 5.534 5.018
Cr 0.000 0.000 0.000
Cr 1.756 2.646 5.044
Cr 6.877 4.219 2.520
Fe 4.331 1.872 6.295
Fe 4.317 3.432 3.782
Fe 4.303 4.993 1.270
O 2.558 0.946 5.841
O 2.555 2.551 3.168
O 2.604 4.100 0.680
O 3.382 5.116 3.093
O 1.681 0.878 0.588
O 3.508 3.571 5.510
O 5.125 3.294 2.054
O 6.952 5.987 6.976
O 5.252 1.748 4.472
O 6.029 2.765 6.885
O 6.079 4.313 4.396
O 6.076 5.919 1.723
```

***

B:
This record from the Materials Project database describes a relaxed structure of Li4Cr3Fe3O12. The functional is PBE+U.

Results
Space-group type: F222, No. 22
Total magnetic moment, μB per atom: 1.000

```
22
Lattice="0.000 4.488 8.518 2.846 0.000 8.518 2.846 4.488 0.000" Properties=species:S:1:pos:R:3 pbc="T T T"
Li 1.423 2.244 1.361
Li 2.846 4.488 2.890
Li 1.423 2.244 7.157
Li 2.846 4.488 14.146
Cr 0.000 0.000 0.000
Cr 2.846 4.488 5.718
Cr 2.846 4.488 11.319
Fe 1.423 2.244 4.259
Fe 4.269 6.733 9.975
Fe 4.269 6.733 15.580
O 1.423 0.275 4.259
O 2.790 2.482 5.736
O 4.327 4.240 7.040
O 2.846 1.984 8.518
O 4.327 4.737 9.996
O 2.901 2.482 11.300
O 1.423 4.213 4.259
O 2.901 6.495 5.736
O 1.365 4.737 7.040
O 2.846 6.993 8.518
O 1.365 4.240 9.996
O 2.790 6.495 11.300
```

***

Short version: A is the most stable of them.